(1)
Compound: U5Ge4
Source: the Materials Project database
Functional: GGA-PBE
Structure: relaxed

a = 8.5809 Å, b = 8.5809 Å, c = 5.8186 Å
α = 90.00°, β = 90.00°, γ = 120.00°
Positions (direct):
U 0.0000 0.2928 0.2500
U 0.0000 0.7072 0.7500
U 0.2928 0.0000 0.2500
U 0.2928 0.2928 0.7500
U 0.3333 0.6667 0.0000
U 0.3333 0.6667 0.5000
U 0.6667 0.3333 0.0000
U 0.6667 0.3333 0.5000
U 0.7072 0.0000 0.7500
U 0.7072 0.7072 0.2500
Ge 0.0000 0.0000 0.0000
Ge 0.0000 0.0000 0.5000
Ge 0.0000 0.3700 0.7500
Ge 0.0000 0.6300 0.2500
Ge 0.3700 0.0000 0.7500
Ge 0.3700 0.3700 0.2500
Ge 0.6300 0.0000 0.2500
Ge 0.6300 0.6300 0.7500

Computed properties:
Symmetry: P6_3/mcm, No. 193
Formation energy (meV per atom): -186
ρ (g/cm³): 13.253
Magnetic moment (μB per cell): 7.87



(2)
Compound: SrB2O4
Source: the Materials Project database
Functional: GGA-PBE
Structure: relaxed

a = 12.0820 Å, b = 4.3847 Å, c = 6.7556 Å
α = 90.00°, β = 90.00°, γ = 90.00°
Positions (direct):
Sr 0.0000 0.2355 0.2500
Sr 0.0000 0.7645 0.7500
Sr 0.5000 0.2645 0.7500
Sr 0.5000 0.7355 0.2500
B 0.1940 0.3279 0.6243
B 0.1940 0.6721 0.1243
B 0.3060 0.1721 0.1243
B 0.3060 0.8279 0.6243
B 0.6940 0.1721 0.3757
B 0.6940 0.8279 0.8757
B 0.8060 0.3279 0.8757
B 0.8060 0.6721 0.3757
O 0.0903 0.2359 0.5915
O 0.0903 0.7641 0.0915
O 0.2116 0.3539 0.1461
O 0.2116 0.6461 0.6461
O 0.2884 0.1461 0.6461
O 0.2884 0.8539 0.1461
O 0.4097 0.2641 0.0915
O 0.4097 0.7359 0.5915
O 0.5903 0.2641 0.4085
O 0.5903 0.7359 0.9085
O 0.7116 0.1461 0.8539
O 0.7116 0.8539 0.3539
O 0.7884 0.3539 0.3539
O 0.7884 0.6461 0.8539
O 0.9097 0.2359 0.9085
O 0.9097 0.7641 0.4085

Computed properties:
Symmetry: Pbcn, No. 60
Formation energy (meV per atom): -3124
ρ (g/cm³): 3.215



(3)
Compound: NaLiCO3
Source: the Materials Project database
Functional: GGA-PBE
Structure: relaxed

a = 14.5138 Å, b = 14.5138 Å, c = 3.3609 Å
α = 90.00°, β = 90.00°, γ = 120.00°
Positions (direct):
Na 0.0781 0.8601 0.0000
Na 0.1089 0.5740 0.0000
Na 0.1399 0.2180 0.0000
Na 0.4260 0.5349 0.0000
Na 0.4534 0.2421 0.0000
Na 0.4651 0.8911 0.0000
Na 0.7579 0.2113 0.0000
Na 0.7820 0.9219 0.0000
Na 0.7887 0.5466 0.0000
Li 0.2072 0.4404 0.5000
Li 0.2273 0.0865 0.5000
Li 0.2332 0.7928 0.5000
Li 0.5124 0.0988 0.5000
Li 0.5596 0.7668 0.5000
Li 0.5864 0.4876 0.5000
Li 0.8592 0.7727 0.5000
Li 0.9012 0.4136 0.5000
Li 0.9135 0.1408 0.5000
C 0.0000 0.0000 0.5000
C 0.0136 0.3344 0.0000
C 0.3208 0.9864 0.0000
C 0.3333 0.6667 0.5000
C 0.3419 0.3308 0.5000
C 0.6656 0.6792 0.0000
C 0.6667 0.3333 0.5000
C 0.6692 0.0111 0.5000
C 0.9889 0.6581 0.5000
O 0.0815 0.7439 0.5000
O 0.0927 0.0861 0.5000
O 0.1146 0.4057 0.0000
O 0.2413 0.6617 0.5000
O 0.2503 0.0169 0.0000
O 0.2561 0.3376 0.5000
O 0.2911 0.8854 0.0000
O 0.3355 0.2381 0.5000
O 0.3383 0.5795 0.5000
O 0.4205 0.7587 0.5000
O 0.4219 0.0569 0.0000
O 0.4348 0.4170 0.5000
O 0.5721 0.2501 0.5000
O 0.5830 0.0178 0.5000
O 0.5943 0.7089 0.0000
O 0.6350 0.5781 0.0000
O 0.6624 0.9185 0.5000
O 0.6780 0.4279 0.5000
O 0.7499 0.3220 0.5000
O 0.7619 0.0974 0.5000
O 0.7667 0.7497 0.0000
O 0.9026 0.6645 0.5000
O 0.9139 0.0066 0.5000
O 0.9431 0.3650 0.0000
O 0.9822 0.5652 0.5000
O 0.9831 0.2333 0.0000
O 0.9934 0.9073 0.5000

Computed properties:
Symmetry: P-6, No. 174
Formation energy (meV per atom): -2170
ρ (g/cm³): 2.192
Magnetic moment (μB per cell): 0.00